## i
Li2CrP3O10: relaxed, GGA+U.

```
data_Li2CrP3O10
_cell_length_a 14.252
_cell_length_b 7.194
_cell_length_c 9.571
_cell_angle_alpha 90.00
_cell_angle_beta 126.89
_cell_angle_gamma 90.00
_symmetry_space_group_name_H-M 'C 1 2/c 1'
_symmetry_Int_Tables_number 15
_symmetry_space_group_name_Hall '-C 2yc'
loop_
_atom_site_label
_atom_site_fract_x
_atom_site_fract_y
_atom_site_fract_z
Li1 0.229 0.013 0.041
Cr1 0.000 0.164 0.250
P1 0.000 0.457 0.750
P2 0.118 0.185 0.684
O1 0.004 0.321 0.622
O2 0.091 0.125 0.510
O3 0.107 0.414 0.344
O4 0.114 0.019 0.783
O5 0.230 0.287 0.804
```

## ii
Li2CrP3O10: relaxed, GGA+U.

```
data_Li2CrP3O10
_cell_length_a 12.036
_cell_length_b 8.027
_cell_length_c 9.710
_cell_angle_alpha 90.00
_cell_angle_beta 95.86
_cell_angle_gamma 90.00
_symmetry_space_group_name_H-M 'P 1 21/c 1'
_symmetry_Int_Tables_number 14
_symmetry_space_group_name_Hall '-P 2ybc'
loop_
_atom_site_label
_atom_site_fract_x
_atom_site_fract_y
_atom_site_fract_z
Li1 0.051 0.111 0.093
Li2 0.352 0.042 0.115
Cr1 0.331 0.643 0.871
P1 0.167 0.716 0.575
P2 0.225 0.076 0.585
P3 0.436 0.567 0.192
O1 0.052 0.640 0.572
O2 0.163 0.226 0.623
O3 0.164 0.591 0.132
O4 0.207 0.720 0.430
O5 0.251 0.058 0.436
O6 0.251 0.621 0.677
O7 0.345 0.085 0.682
O8 0.417 0.659 0.325
O9 0.418 0.665 0.057
O10 0.446 0.507 0.783
```

Preferred: ii; penalty for the next structure: 13 meV per atom.

## i
Li2Cr5P4O16: relaxed, GGA+U.

```
data_Li2Cr5P4O16
_cell_length_a 5.467
_cell_length_b 8.076
_cell_length_c 8.534
_cell_angle_alpha 65.06
_cell_angle_beta 88.60
_cell_angle_gamma 78.69
_symmetry_space_group_name_H-M 'P -1'
_symmetry_Int_Tables_number 2
_symmetry_space_group_name_Hall '-P 1'
loop_
_atom_site_label
_atom_site_fract_x
_atom_site_fract_y
_atom_site_fract_z
Li1 0.142 0.407 0.275
Cr1 0.165 0.082 0.682
Cr2 0.378 0.749 0.217
Cr3 0.500 0.500 0.000
P1 0.140 0.201 0.020
P2 0.372 0.709 0.580
O1 0.125 0.690 0.056
O2 0.134 0.004 0.168
O3 0.211 0.668 0.458
O4 0.213 0.854 0.630
O5 0.271 0.307 0.095
O6 0.288 0.167 0.873
O7 0.376 0.243 0.496
O8 0.448 0.520 0.750
```

## ii
Li2Cr5P4O16: relaxed, GGA+U.

```
data_Li2Cr5P4O16
_cell_length_a 5.512
_cell_length_b 8.056
_cell_length_c 8.642
_cell_angle_alpha 63.35
_cell_angle_beta 84.45
_cell_angle_gamma 79.16
_symmetry_space_group_name_H-M 'P -1'
_symmetry_Int_Tables_number 2
_symmetry_space_group_name_Hall '-P 1'
loop_
_atom_site_label
_atom_site_fract_x
_atom_site_fract_y
_atom_site_fract_z
Li1 0.130 0.104 0.210
Cr1 0.210 0.254 0.790
Cr2 0.324 0.443 0.294
Cr3 0.500 0.000 0.500
P1 0.169 0.694 0.507
P2 0.374 0.801 0.912
O1 0.066 0.254 0.401
O2 0.104 0.643 0.363
O3 0.177 0.983 0.845
O4 0.244 0.635 0.027
O5 0.311 0.863 0.413
O6 0.333 0.516 0.644
O7 0.397 0.181 0.009
O8 0.482 0.782 0.743
```

Preferred: ii; penalty for the next structure: 20 meV per atom.

## i
Li2CrP5O15: relaxed, GGA+U.

```
data_Li2CrP5O15
_cell_length_a 7.590
_cell_length_b 11.089
_cell_length_c 13.492
_cell_angle_alpha 90.00
_cell_angle_beta 102.28
_cell_angle_gamma 90.00
_symmetry_space_group_name_H-M 'C 1 c 1'
_symmetry_Int_Tables_number 9
_symmetry_space_group_name_Hall 'C -2yc'
loop_
_atom_site_label
_atom_site_fract_x
_atom_site_fract_y
_atom_site_fract_z
Li1 0.000 0.142 0.000
Li2 0.188 0.251 0.341
Cr1 0.218 0.366 0.787
P1 0.123 0.368 0.537
P2 0.315 0.061 0.507
P3 0.319 0.309 0.035
P4 0.385 0.094 0.734
P5 0.498 0.406 0.237
O1 0.000 0.251 0.514
O2 0.024 0.498 0.766
O3 0.025 0.224 0.774
O4 0.143 0.005 0.998
O5 0.194 0.035 0.740
O6 0.204 0.228 0.082
O7 0.225 0.363 0.646
O8 0.239 0.370 0.936
O9 0.239 0.373 0.461
O10 0.339 0.150 0.429
O11 0.366 0.131 0.618
O12 0.400 0.491 0.294
O13 0.403 0.412 0.118
O14 0.413 0.214 0.793
O15 0.486 0.026 0.024
```

## ii
Li2CrP5O15: relaxed, GGA+U.

```
data_Li2CrP5O15
_cell_length_a 5.269
_cell_length_b 9.591
_cell_length_c 13.117
_cell_angle_alpha 90.00
_cell_angle_beta 108.70
_cell_angle_gamma 90.00
_symmetry_space_group_name_H-M 'P 1 c 1'
_symmetry_Int_Tables_number 7
_symmetry_space_group_name_Hall 'P -2yc'
loop_
_atom_site_label
_atom_site_fract_x
_atom_site_fract_y
_atom_site_fract_z
Li1 0.000 0.101 0.000
Li2 0.881 0.106 0.631
Cr1 0.955 0.497 0.572
P1 0.367 0.318 0.486
P2 0.419 0.020 0.427
P3 0.462 0.022 0.207
P4 0.540 0.323 0.156
P5 0.959 0.483 0.322
O1 0.182 0.004 0.132
O2 0.218 0.383 0.368
O3 0.219 0.093 0.911
O4 0.233 0.364 0.566
O5 0.245 0.354 0.130
O6 0.296 0.159 0.466
O7 0.439 0.082 0.317
O8 0.591 0.161 0.170
O9 0.660 0.092 0.721
O10 0.666 0.343 0.516
O11 0.673 0.370 0.076
O12 0.699 0.001 0.501
O13 0.706 0.379 0.275
O14 0.918 0.441 0.916
O15 0.996 0.437 0.728
```

## iii
Li2CrP5O15: relaxed, GGA+U.

```
data_Li2CrP5O15
_cell_length_a 5.160
_cell_length_b 13.415
_cell_length_c 8.930
_cell_angle_alpha 90.00
_cell_angle_beta 101.47
_cell_angle_gamma 90.00
_symmetry_space_group_name_H-M 'P 1 21/m 1'
_symmetry_Int_Tables_number 11
_symmetry_space_group_name_Hall '-P 2yb'
loop_
_atom_site_label
_atom_site_fract_x
_atom_site_fract_y
_atom_site_fract_z
Li1 0.057 0.118 0.090
Cr1 0.500 0.000 0.500
P1 0.002 0.141 0.519
P2 0.342 0.076 0.814
P3 0.456 0.750 0.990
O1 0.053 0.250 0.462
O2 0.137 0.145 0.696
O3 0.153 0.073 0.432
O4 0.194 0.031 0.925
O5 0.194 0.750 0.882
O6 0.286 0.250 0.062
O7 0.291 0.626 0.497
O8 0.445 0.657 0.107
O9 0.486 0.009 0.722
```

Preferred: iii; penalty for the next structure: 11 meV per atom.

## i
Li4Cr7P6O24: relaxed, GGA+U.

```
data_Li4Cr7P6O24
_cell_length_a 11.748
_cell_length_b 13.992
_cell_length_c 6.485
_cell_angle_alpha 90.00
_cell_angle_beta 103.90
_cell_angle_gamma 90.00
_symmetry_space_group_name_H-M 'C 1 m 1'
_symmetry_Int_Tables_number 8
_symmetry_space_group_name_Hall 'C -2y'
loop_
_atom_site_label
_atom_site_fract_x
_atom_site_fract_y
_atom_site_fract_z
Li1 0.000 0.000 0.000
Li2 0.167 0.374 0.947
Li3 0.296 0.000 0.948
Cr1 0.064 0.178 0.676
Cr2 0.235 0.376 0.505
Cr3 0.244 0.000 0.489
Cr4 0.403 0.191 0.313
P1 0.049 0.500 0.592
P2 0.132 0.187 0.195
P3 0.323 0.192 0.779
P4 0.403 0.500 0.435
O1 0.051 0.201 0.354
O2 0.060 0.143 0.985
O3 0.062 0.409 0.457
O4 0.153 0.500 0.796
O5 0.191 0.283 0.174
O6 0.227 0.275 0.746
O7 0.237 0.114 0.281
O8 0.245 0.100 0.727
O9 0.266 0.500 0.333
O10 0.399 0.180 0.003
O11 0.402 0.213 0.626
O12 0.418 0.410 0.585
O13 0.431 0.000 0.647
O14 0.479 0.500 0.281
```

## ii
Li4Cr7P6O24: relaxed, GGA+U.

```
data_Li4Cr7P6O24
_cell_length_a 11.342
_cell_length_b 14.088
_cell_length_c 6.507
_cell_angle_alpha 90.00
_cell_angle_beta 104.05
_cell_angle_gamma 90.00
_symmetry_space_group_name_H-M 'C 1 m 1'
_symmetry_Int_Tables_number 8
_symmetry_space_group_name_Hall 'C -2y'
loop_
_atom_site_label
_atom_site_fract_x
_atom_site_fract_y
_atom_site_fract_z
Li1 0.000 0.000 0.000
Li2 0.144 0.500 0.915
Li3 0.446 0.115 0.968
Cr1 0.001 0.343 0.482
Cr2 0.004 0.000 0.493
Cr3 0.177 0.183 0.303
Cr4 0.326 0.321 0.668
P1 0.099 0.197 0.790
P2 0.188 0.500 0.404
P3 0.318 0.000 0.570
P4 0.398 0.311 0.182
O1 0.001 0.116 0.728
O2 0.004 0.114 0.249
O3 0.026 0.292 0.792
O4 0.095 0.500 0.185
O5 0.167 0.413 0.543
O6 0.171 0.215 0.615
O7 0.187 0.169 0.998
O8 0.188 0.000 0.596
O9 0.316 0.345 0.973
O10 0.319 0.500 0.382
O11 0.323 0.294 0.352
O12 0.337 0.090 0.441
O13 0.415 0.000 0.786
O14 0.465 0.214 0.174
```

Preferred: i; penalty for the next structure: 18 meV per atom.